Entry 1:
An optimized crystal structure of MnO2, computed with r2SCAN.

The energy of formation from the pure elements comes out at -2.03 eV per atom. The calculation puts the size of the total moment at 1.003 μB/atom. The total DFT energy (no corrections) is -10.91 eV per atom.

Lattice parameters (Å, degrees): 4.400 4.400 2.867 90.00 90.00 90.00
Element x y z (fractional)
Mn1 0.000 0.000 0.000
Mn2 0.500 0.500 0.500
O1 0.195 0.195 0.500
O2 0.305 0.695 0.000
O3 0.695 0.305 0.000
O4 0.805 0.805 0.500



Entry 2:
An optimized crystal structure of YbPm3, computed with r2SCAN.

The energy of formation from the pure elements comes out at 0.01 eV per atom. The calculation puts the size of the total moment at 0.000 μB/atom. The total DFT energy (no corrections) is -31.27 eV per atom. For the offset from the most stable computed form, the calculation gives 0 meV/atom.

Lattice parameters (Å, degrees): 7.371 7.371 5.741 90.00 90.00 120.00
Element x y z (fractional)
Yb1 0.333 0.667 0.250
Yb2 0.667 0.333 0.750
Pm1 0.169 0.337 0.750
Pm2 0.169 0.831 0.750
Pm3 0.337 0.169 0.250
Pm4 0.663 0.831 0.750
Pm5 0.831 0.169 0.250
Pm6 0.831 0.663 0.250



Entry 3:
An optimized crystal structure of Li6Zn3P4S16, computed with r2SCAN.

The energy of formation from the pure elements comes out at -0.86 eV per atom. The calculation puts the size of the total moment at 0.000 μB/atom. The total DFT energy (no corrections) is -7.95 eV per atom.

Lattice parameters (Å, degrees): 9.128 11.507 22.975 90.11 90.01 90.05
Element x y z (fractional)
Li1 0.000 0.000 0.000
Li2 0.000 0.000 0.746
Li3 0.240 0.750 0.000
Li4 0.245 0.737 0.751
Li5 0.484 0.000 0.000
Li6 0.487 0.750 0.375
Li7 0.488 0.746 0.127
Li8 0.490 0.248 0.374
Li9 0.492 0.250 0.124
Li10 0.492 0.250 0.624
Li11 0.492 0.252 0.873
Li12 0.496 0.748 0.621
Li13 0.499 0.745 0.875
Li14 0.500 0.496 0.748
Li15 0.745 0.992 0.876
Li16 0.746 0.992 0.122
Li17 0.982 0.745 0.873
Li18 0.983 0.496 0.750
Li19 0.987 0.496 0.498
Li20 0.988 0.498 0.999
Li21 0.990 0.998 0.499
Li22 0.993 0.500 0.248
Li23 0.993 0.746 0.126
Li24 0.994 0.998 0.253
Zn1 0.001 0.251 0.874
Zn2 0.002 0.248 0.124
Zn3 0.487 0.000 0.251
Zn4 0.491 0.497 0.499
Zn5 0.493 0.498 0.249
Zn6 0.493 0.998 0.747
Zn7 0.495 0.999 0.499
Zn8 0.501 0.498 0.999
Zn9 0.986 0.746 0.621
Zn10 0.992 0.248 0.375
Zn11 0.993 0.250 0.625
Zn12 0.993 0.749 0.373
P1 0.239 0.503 0.623
P2 0.239 0.995 0.128
P3 0.242 0.498 0.374
P4 0.242 0.999 0.375
P5 0.244 0.001 0.875
P6 0.244 0.494 0.872
P7 0.245 0.998 0.623
P8 0.247 0.497 0.121
P9 0.741 0.248 0.249
P10 0.741 0.757 0.749
P11 0.742 0.248 0.499
P12 0.742 0.748 0.498
P13 0.742 0.750 0.998
P14 0.743 0.744 0.250
P15 0.745 0.248 0.002
P16 0.747 0.245 0.747
S1 0.117 0.893 0.179
S2 0.121 0.610 0.569
S3 0.122 0.105 0.821
S4 0.122 0.604 0.822
S5 0.122 0.890 0.925
S6 0.124 0.392 0.676
S7 0.124 0.604 0.071
S8 0.125 0.884 0.674
S9 0.126 0.108 0.572
S10 0.126 0.389 0.927
S11 0.126 0.887 0.427
S12 0.127 0.387 0.426
S13 0.127 0.609 0.321
S14 0.129 0.112 0.323
S15 0.132 0.108 0.073
S16 0.132 0.387 0.175
S17 0.354 0.104 0.680
S18 0.355 0.396 0.569
S19 0.356 0.894 0.319
S20 0.357 0.393 0.318
S21 0.357 0.602 0.430
S22 0.358 0.103 0.431
S23 0.358 0.600 0.179
S24 0.360 0.894 0.568
S25 0.362 0.892 0.073
S26 0.363 0.601 0.929
S27 0.363 0.604 0.677
S28 0.363 0.893 0.818
S29 0.364 0.394 0.820
S30 0.365 0.103 0.179
S31 0.365 0.392 0.067
S32 0.367 0.103 0.925
S33 0.616 0.641 0.302
S34 0.617 0.858 0.947
S35 0.618 0.646 0.051
S36 0.622 0.859 0.199
S37 0.624 0.863 0.694
S38 0.625 0.648 0.799
S39 0.626 0.134 0.801
S40 0.626 0.139 0.052
S41 0.626 0.860 0.446
S42 0.627 0.137 0.552
S43 0.627 0.359 0.447
S44 0.628 0.358 0.197
S45 0.629 0.136 0.302
S46 0.629 0.636 0.550
S47 0.631 0.351 0.697
S48 0.633 0.357 0.948
S49 0.852 0.642 0.195
S50 0.854 0.852 0.306
S51 0.854 0.854 0.554
S52 0.856 0.143 0.443
S53 0.857 0.348 0.805
S54 0.858 0.644 0.442
S55 0.859 0.352 0.555
S56 0.860 0.644 0.946
S57 0.861 0.351 0.304
S58 0.861 0.650 0.695
S59 0.865 0.139 0.693
S60 0.865 0.143 0.194
S61 0.865 0.352 0.055
S62 0.865 0.853 0.052
S63 0.867 0.144 0.945
S64 0.868 0.861 0.801



Entry 4:
An optimized crystal structure of NaTl, computed with r2SCAN.

The energy of formation from the pure elements comes out at -0.12 eV per atom. The calculation puts the size of the total moment at 0.000 μB/atom. The total DFT energy (no corrections) is -28.49 eV per atom.

Lattice parameters (Å, degrees): 6.147 6.147 6.339 90.00 90.00 80.21
Element x y z (fractional)
Na1 0.007 0.361 0.250
Na2 0.361 0.007 0.750
Na3 0.639 0.993 0.250
Na4 0.993 0.639 0.750
Tl1 0.156 0.844 0.250
Tl2 0.500 0.500 0.000
Tl3 0.500 0.500 0.500
Tl4 0.844 0.156 0.750



Entry 5:
An optimized crystal structure of Rb3DyCl6, computed with r2SCAN.

The energy of formation from the pure elements comes out at -2.38 eV per atom. The calculation puts the size of the total moment at 0.000 μB/atom. The total DFT energy (no corrections) is -13.45 eV per atom.

Lattice parameters (Å, degrees): 13.495 13.495 12.801 99.01 99.01 34.16
Element x y z (fractional)
Rb1 0.022 0.653 0.198
Rb2 0.163 0.529 0.855
Rb3 0.192 0.705 0.564
Rb4 0.295 0.808 0.936
Rb5 0.347 0.978 0.302
Rb6 0.471 0.837 0.645
Rb7 0.529 0.163 0.355
Rb8 0.653 0.022 0.698
Rb9 0.705 0.192 0.064
Rb10 0.808 0.295 0.436
Rb11 0.837 0.471 0.145
Rb12 0.978 0.347 0.802
Dy1 0.000 0.500 0.500
Dy2 0.207 0.793 0.250
Dy3 0.500 0.000 0.000
Dy4 0.793 0.207 0.750
Cl1 0.019 0.103 0.202
Cl2 0.103 0.019 0.702
Cl3 0.137 0.364 0.311
Cl4 0.141 0.212 0.534
Cl5 0.159 0.727 0.062
Cl6 0.212 0.141 0.034
Cl7 0.273 0.841 0.438
Cl8 0.280 0.377 0.578
Cl9 0.364 0.137 0.811
Cl10 0.371 0.508 0.322
Cl11 0.377 0.280 0.078
Cl12 0.492 0.629 0.178
Cl13 0.508 0.371 0.822
Cl14 0.623 0.720 0.922
Cl15 0.629 0.492 0.678
Cl16 0.636 0.863 0.189
Cl17 0.720 0.623 0.422
Cl18 0.727 0.159 0.562
Cl19 0.788 0.859 0.966
Cl20 0.841 0.273 0.938
Cl21 0.859 0.788 0.466
Cl22 0.863 0.636 0.689
Cl23 0.897 0.981 0.298
Cl24 0.981 0.897 0.798



Entry 6:
An optimized crystal structure of Cs3Mn4P12O36, computed with r2SCAN.

The energy of formation from the pure elements comes out at -2.40 eV per atom. The calculation puts the size of the total moment at 0.345 μB/atom. The total DFT energy (no corrections) is -10.71 eV per atom.

Lattice parameters (Å, degrees): 9.530 9.530 12.381 120.98 120.98 63.39
Element x y z (fractional)
Cs1 0.000 0.000 0.000
Cs2 0.213 0.787 0.500
Cs3 0.787 0.213 0.500
Mn1 0.205 0.205 0.909
Mn2 0.249 0.249 0.425
Mn3 0.751 0.751 0.575
Mn4 0.795 0.795 0.091
P1 0.165 0.581 0.700
P2 0.197 0.606 0.128
P3 0.236 0.236 0.673
P4 0.331 0.331 0.228
P5 0.394 0.803 0.872
P6 0.419 0.835 0.300
P7 0.581 0.165 0.700
P8 0.606 0.197 0.128
P9 0.669 0.669 0.772
P10 0.764 0.764 0.327
P11 0.803 0.394 0.872
P12 0.835 0.419 0.300
O1 0.006 0.709 0.711
O2 0.057 0.754 0.159
O3 0.172 0.172 0.722
O4 0.174 0.472 0.992
O5 0.177 0.177 0.523
O6 0.184 0.435 0.738
O7 0.197 0.508 0.573
O8 0.228 0.228 0.092
O9 0.246 0.943 0.841
O10 0.273 0.522 0.239
O11 0.291 0.994 0.289
O12 0.324 0.651 0.828
O13 0.338 0.338 0.353
O14 0.349 0.676 0.172
O15 0.435 0.184 0.738
O16 0.472 0.174 0.992
O17 0.478 0.727 0.761
O18 0.492 0.803 0.427
O19 0.508 0.197 0.573
O20 0.522 0.273 0.239
O21 0.528 0.826 0.008
O22 0.565 0.816 0.262
O23 0.651 0.324 0.828
O24 0.662 0.662 0.647
O25 0.676 0.349 0.172
O26 0.709 0.006 0.711
O27 0.727 0.478 0.761
O28 0.754 0.057 0.159
O29 0.772 0.772 0.908
O30 0.803 0.492 0.427
O31 0.816 0.565 0.262
O32 0.823 0.823 0.477
O33 0.826 0.528 0.008
O34 0.828 0.828 0.278
O35 0.943 0.246 0.841
O36 0.994 0.291 0.289